Material: PPt
Method: DFT, PBE
State: optimized geometry

Calculated values
Spin magnetization in μB per atom: 0.00
Calculated formation energy in eV per atom: -0.31
Raw total energy in eV per cell: -24.22

Unit cell a=3.743 b=3.743 c=6.354 alpha=90.00 beta=90.00 gamma=120.00
Element x y z (fractional)
Pt: 0.333 0.667 0.872
P: 0.333 0.667 0.503
P: 0.000 0.000 0.003
Pt: 0.000 0.000 0.372


Material: PPt3
Method: DFT, PBE
State: optimized geometry

Calculated values
Spin magnetization in μB per atom: 0.00
Calculated formation energy in eV per atom: 0.15
Raw total energy in eV per cell: -23.03

Unit cell a=4.926 b=4.926 c=4.926 alpha=133.35 beta=133.35 gamma=68.10
Element x y z (fractional)
Pt: 0.250 0.750 0.500
Pt: 0.750 0.250 0.500
P: 0.000 0.000 0.000
Pt: 0.500 0.500 0.000


Material: P2Pt5
Method: DFT, PBE
State: optimized geometry

Calculated values
Calculated formation energy in eV per atom: -0.38
Raw total energy in eV per cell: -87.64

Unit cell a=6.121 b=6.121 c=7.527 alpha=81.52 beta=81.52 gamma=52.86
Element x y z (fractional)
Pt: 0.630 0.081 0.595
P: 0.565 0.753 0.724
Pt: 0.919 0.370 0.905
Pt: 0.370 0.919 0.405
Pt: 0.112 0.888 0.750
Pt: 0.845 0.393 0.533
Pt: 0.393 0.845 0.033
P: 0.247 0.435 0.776
Pt: 0.081 0.630 0.095
Pt: 0.155 0.607 0.467
Pt: 0.888 0.112 0.250
P: 0.753 0.565 0.224
Pt: 0.607 0.155 0.967
P: 0.435 0.247 0.276